# Be12Nb

A relaxed structure of Be12Nb (PBE-GGA, the Materials Project).

Values from the calculation:
DFT formation energy: -0.15 eV per atom
VASP energy: -0.1609 Ha/atom
mass density: 2.96 g/cm3
calculated volume: 113 Å³/cell

Unit cell a=5.588 b=5.588 c=5.588 alpha=98.17 beta=98.17 gamma=135.71
Atoms (fractional coordinates):
1 Be 0.000 0.000 0.500
2 Be 0.000 0.217 0.217
3 Be 0.000 0.500 0.000
4 Be 0.000 0.783 0.783
5 Be 0.148 0.500 0.648
6 Be 0.217 0.000 0.217
7 Be 0.500 0.000 0.000
8 Be 0.500 0.148 0.648
9 Be 0.500 0.500 0.500
10 Be 0.500 0.852 0.352
11 Be 0.783 0.000 0.783
12 Be 0.852 0.500 0.352
13 Nb 0.500 0.500 0.000

***

# Be2Nb3

A relaxed structure of Be2Nb3 (PBE-GGA, the Materials Project).

Values from the calculation:
DFT formation energy: -0.13 eV per atom
VASP energy: -0.2827 Ha/atom
mass density: 6.85 g/cm3
calculated volume: 144 Å³/cell

Unit cell a=6.538 b=6.538 c=3.364 alpha=90.00 beta=90.00 gamma=90.00
Atoms (fractional coordinates):
1 Be 0.113 0.387 0.000
2 Be 0.387 0.887 0.000
3 Be 0.613 0.113 0.000
4 Be 0.887 0.613 0.000
5 Nb 0.000 0.000 0.000
6 Nb 0.179 0.679 0.500
7 Nb 0.321 0.179 0.500
8 Nb 0.500 0.500 0.000
9 Nb 0.679 0.821 0.500
10 Nb 0.821 0.321 0.500

***

# NdBeO3

A relaxed structure of NdBeO3 (PBE-GGA, the Materials Project).

Values from the calculation:
DFT formation energy: -2.87 eV per atom
VASP energy: -0.2620 Ha/atom
mass density: 6.82 g/cm3
calculated volume: 49 Å³/cell

Unit cell a=3.660 b=3.660 c=3.660 alpha=90.00 beta=90.00 gamma=90.00
Atoms (fractional coordinates):
1 Nd 0.000 0.000 0.000
2 Be 0.500 0.500 0.500
3 O 0.000 0.500 0.500
4 O 0.500 0.000 0.500
5 O 0.500 0.500 0.000